[1]
La2Ni3: relaxed, r²SCAN.

Output
SG: No. 64

abc: 4.9693 5.3898 7.9593
angles: 90.00 90.00 117.45
Atoms (fractional coordinates):
La: 0.1545 0.3091 0.5952
La: 0.8455 0.6909 0.4048
La: 0.3455 0.6909 0.0952
La: 0.6545 0.3091 0.9048
Ni: 0.1612 0.8225 0.7500
Ni: 0.6612 0.8225 0.7500
Ni: 0.0000 0.0000 0.0000
Ni: 0.3388 0.1775 0.2500
Ni: 0.8388 0.1775 0.2500
Ni: 0.5000 0.0000 0.5000

[2]
Na3La5Cl18: relaxed, r²SCAN.

Output
SG: No. 174

abc: 7.5877 7.5876 13.0753
angles: 90.00 90.00 120.00
Atoms (fractional coordinates):
Cl: 0.0542 0.6341 0.1658
Cl: 0.0542 0.6341 0.8342
Cl: 0.2753 0.0275 0.0000
Cl: 0.9771 0.2523 0.3291
Cl: 0.5708 0.9573 0.5000
Cl: 0.2752 0.0229 0.6709
Cl: 0.5799 0.9458 0.8342
Cl: 0.0427 0.6136 0.5000
Cl: 0.7477 0.7248 0.6709
Cl: 0.3864 0.4292 0.5000
Cl: 0.2752 0.0229 0.3291
Cl: 0.9771 0.2523 0.6709
Cl: 0.7523 0.7247 0.0000
Cl: 0.7477 0.7248 0.3291
Cl: 0.9725 0.2477 0.0000
Cl: 0.3659 0.4201 0.1658
Cl: 0.3659 0.4201 0.8342
Cl: 0.5799 0.9458 0.1658
Na: 0.6667 0.3333 0.6433
Na: 0.6667 0.3333 0.3567
Na: 0.9999 0.9999 0.5000
La: 0.0000 0.0000 0.1670
La: 0.3333 0.6667 0.0000
La: 0.3333 0.6667 0.6647
La: 0.3333 0.6667 0.3354
La: 0.0000 0.0000 0.8330

[3]
Li2NiGe3O8: relaxed, r²SCAN.

Output
SG: No. 212

abc: 8.1896 8.1896 8.1897
angles: 90.00 90.00 90.00
Atoms (fractional coordinates):
O: 0.3739 0.3934 0.8991
O: 0.6066 0.3991 0.1261
O: 0.6491 0.3566 0.6239
O: 0.8761 0.3509 0.8566
O: 0.3566 0.6239 0.6491
O: 0.3761 0.1491 0.1434
O: 0.6434 0.1239 0.8509
O: 0.8658 0.1342 0.6342
O: 0.6239 0.6491 0.3566
O: 0.1239 0.8509 0.6434
O: 0.1009 0.8739 0.1066
O: 0.1491 0.1434 0.3761
O: 0.6342 0.8658 0.1342
O: 0.8566 0.8761 0.3509
O: 0.6261 0.8934 0.6009
O: 0.6009 0.6261 0.8934
O: 0.1066 0.1009 0.8739
O: 0.8509 0.6433 0.1239
O: 0.3658 0.3658 0.3658
O: 0.8739 0.1066 0.1009
O: 0.3842 0.6158 0.1158
O: 0.1342 0.6342 0.8658
O: 0.3934 0.8991 0.3739
O: 0.6158 0.1158 0.3842
O: 0.1434 0.3761 0.1491
O: 0.1158 0.3842 0.6159
O: 0.3991 0.1261 0.6066
O: 0.1261 0.6066 0.3991
O: 0.8991 0.3739 0.3934
O: 0.3509 0.8566 0.8761
O: 0.8933 0.6009 0.6261
O: 0.8842 0.8842 0.8842
Ge: 0.1273 0.3750 0.3773
Ge: 0.1250 0.6227 0.6273
Ge: 0.3773 0.1273 0.3750
Ge: 0.6273 0.1250 0.6227
Ge: 0.8727 0.8750 0.1227
Ge: 0.8773 0.3727 0.6250
Ge: 0.6250 0.8773 0.3727
Ge: 0.6227 0.6273 0.1250
Ge: 0.3727 0.6250 0.8773
Ge: 0.8750 0.1227 0.8727
Ge: 0.3750 0.3773 0.1273
Ge: 0.1227 0.8727 0.8750
Ni: 0.6250 0.3750 0.8750
Ni: 0.1250 0.1250 0.1250
Ni: 0.3750 0.8750 0.6250
Ni: 0.8750 0.6250 0.3750
Li: 0.9966 0.4966 0.0034
Li: 0.0034 0.9966 0.4966
Li: 0.2534 0.2466 0.7534
Li: 0.2466 0.7534 0.2534
Li: 0.4966 0.0034 0.9966
Li: 0.7534 0.2534 0.2466
Li: 0.7466 0.7466 0.7466
Li: 0.5034 0.5034 0.5034

[4]
K5ThF9: relaxed, r²SCAN.

Output
SG: No. 36

abc: 7.4940 7.4940 10.5106
angles: 90.00 90.00 116.71
Atoms (fractional coordinates):
F: 0.2484 0.7516 0.9538
F: 0.6491 0.3509 0.2249
F: 0.9462 0.5024 0.7703
F: 0.7516 0.2484 0.4538
F: 0.4808 0.5192 0.4612
F: 0.4976 0.0538 0.7703
F: 0.2007 0.7993 0.5359
F: 0.1522 0.2131 0.1787
F: 0.2131 0.1522 0.6787
F: 0.9587 0.0413 0.4134
F: 0.3509 0.6491 0.7249
F: 0.5024 0.9462 0.2703
F: 0.0413 0.9587 0.9134
F: 0.7869 0.8478 0.1787
F: 0.5192 0.4808 0.9612
F: 0.7993 0.2007 0.0359
F: 0.8478 0.7869 0.6787
F: 0.0538 0.4976 0.2703
Th: 0.1624 0.8376 0.7504
Th: 0.8376 0.1624 0.2504
K: 0.6016 0.8801 0.5523
K: 0.8801 0.6016 0.0523
K: 0.3515 0.1451 0.4009
K: 0.3984 0.1199 0.0523
K: 0.4235 0.5765 0.2106
K: 0.8549 0.6485 0.4009
K: 0.6485 0.8549 0.9009
K: 0.1199 0.3984 0.5523
K: 0.5765 0.4235 0.7106
K: 0.1451 0.3515 0.9009

[5]
Zn13Rh: relaxed, r²SCAN.

Output
SG: No. 12

abc: 5.1106 6.5376 6.5376
angles: 69.25 80.59 80.59
Atoms (fractional coordinates):
Zn: 0.3647 0.7772 0.7772
Zn: 0.1987 0.3617 0.9983
Zn: 0.3243 0.6152 0.2254
Zn: 0.8013 0.0017 0.6383
Zn: 0.6757 0.7746 0.3848
Zn: 0.8013 0.6383 0.0017
Zn: 0.9308 0.3875 0.3875
Zn: 0.3243 0.2254 0.6152
Zn: 0.0000 0.0000 0.0000
Zn: 0.6353 0.2228 0.2228
Zn: 0.1987 0.9983 0.3617
Zn: 0.0692 0.6125 0.6125
Zn: 0.6757 0.3848 0.7746
Rh: 0.5000 0.0000 0.0000

[6]
LaIn5Co: relaxed, r²SCAN.

Output
SG: No. 123

abc: 4.6372 4.6372 7.6402
angles: 90.00 90.00 90.00
Atoms (fractional coordinates):
Co: 0.0000 0.0000 0.5000
In: 0.5000 0.0000 0.6870
In: 0.5000 0.0000 0.3130
In: 0.5000 0.5000 0.0000
In: 0.0000 0.5000 0.3130
In: 0.0000 0.5000 0.6870
La: 0.0000 0.0000 0.0000

[7]
Cs3Cu2Cl5: relaxed, r²SCAN.

Output
SG: No. 62

abc: 9.3074 10.5386 13.0853
angles: 90.00 90.00 90.00
Atoms (fractional coordinates):
Cl: 0.1882 0.9335 0.9443
Cl: 0.5274 0.7500 0.0100
Cl: 0.7004 0.7500 0.2939
Cl: 0.6882 0.9335 0.5557
Cl: 0.8118 0.0665 0.0557
Cl: 0.6788 0.2500 0.2930
Cl: 0.8118 0.4335 0.0557
Cl: 0.8212 0.7500 0.7930
Cl: 0.0274 0.7500 0.4900
Cl: 0.2004 0.7500 0.2061
Cl: 0.3118 0.4335 0.4443
Cl: 0.3118 0.0665 0.4443
Cl: 0.1788 0.2500 0.2070
Cl: 0.7996 0.2500 0.7939
Cl: 0.3212 0.7500 0.7070
Cl: 0.2996 0.2500 0.7061
Cl: 0.4726 0.2500 0.9900
Cl: 0.6882 0.5665 0.5557
Cl: 0.1882 0.5665 0.9443
Cl: 0.9726 0.2500 0.5100
Cs: 0.3946 0.7500 0.4529
Cs: 0.4616 0.0109 0.1798
Cs: 0.4616 0.4891 0.1798
Cs: 0.1054 0.2500 0.9529
Cs: 0.9616 0.4891 0.3202
Cs: 0.6054 0.2500 0.5471
Cs: 0.8946 0.7500 0.0471
Cs: 0.0384 0.5109 0.6798
Cs: 0.5384 0.9891 0.8202
Cs: 0.5384 0.5109 0.8202
Cs: 0.9616 0.0109 0.3202
Cs: 0.0384 0.9891 0.6798
Cu: 0.7654 0.2500 0.1362
Cu: 0.7929 0.7500 0.4513
Cu: 0.2929 0.7500 0.0487
Cu: 0.2071 0.2500 0.5487
Cu: 0.7346 0.7500 0.6362
Cu: 0.7071 0.2500 0.9513
Cu: 0.2346 0.7500 0.8638
Cu: 0.2654 0.2500 0.3638

[8]
Zr2Al3Co: relaxed, r²SCAN.

Output
SG: No. 166

abc: 5.1767 5.1767 5.1767
angles: 60.95 60.95 60.95
Atoms (fractional coordinates):
Al: 0.0000 0.5000 0.0000
Al: 0.5000 0.0000 0.0000
Al: 0.0000 0.0000 0.5000
Co: 0.0000 0.0000 0.0000
Zr: 0.3731 0.3731 0.3731
Zr: 0.6269 0.6269 0.6269

[9]
Lu4Zr3O12: relaxed, r²SCAN.

Output
SG: No. 2

abc: 6.2504 6.2589 6.3667
angles: 99.64 99.07 99.47
Atoms (fractional coordinates):
O: 0.9169 0.0754 0.6863
O: 0.5840 0.1853 0.4311
O: 0.5838 0.4214 0.8218
O: 0.0396 0.6764 0.8978
O: 0.6828 0.9263 0.0603
O: 0.4160 0.8147 0.5689
O: 0.8255 0.5732 0.4264
O: 0.1745 0.4268 0.5736
O: 0.9604 0.3236 0.1022
O: 0.4162 0.5786 0.1782
O: 0.3172 0.0737 0.9397
O: 0.0831 0.9246 0.3137
Lu: 0.6905 0.8634 0.3903
Lu: 0.3095 0.1366 0.6097
Lu: 0.3915 0.6979 0.8645
Lu: 0.6085 0.3021 0.1355
Zr: 0.0000 0.0000 0.0000
Zr: 0.1477 0.6060 0.3225
Zr: 0.8523 0.3940 0.6775

[10]
Pr2Re3Si5: relaxed, r²SCAN.

Output
SG: No. 128

abc: 11.0023 11.0023 5.7807
angles: 90.00 90.00 90.00
Atoms (fractional coordinates):
Si: 0.0000 0.0000 0.2746
Si: 0.5000 0.5000 0.7746
Si: 0.0216 0.6824 0.5000
Si: 0.6824 0.9784 0.5000
Si: 0.5000 0.5000 0.2254
Si: 0.8176 0.4784 0.0000
Si: 0.3290 0.8290 0.7500
Si: 0.3290 0.8290 0.2500
Si: 0.3176 0.0216 0.5000
Si: 0.6710 0.1710 0.2500
Si: 0.9784 0.3176 0.5000
Si: 0.8290 0.6710 0.7500
Si: 0.5216 0.8176 0.0000
Si: 0.8290 0.6710 0.2500
Si: 0.6710 0.1710 0.7500
Si: 0.1824 0.5216 0.0000
Si: 0.0000 0.0000 0.7254
Si: 0.1710 0.3290 0.2500
Si: 0.1710 0.3290 0.7500
Si: 0.4784 0.1824 0.0000
Re: 0.6494 0.6265 0.0000
Re: 0.5000 0.0000 0.7500
Re: 0.8506 0.1265 0.5000
Re: 0.3506 0.3735 0.0000
Re: 0.6265 0.3506 0.0000
Re: 0.1265 0.1494 0.5000
Re: 0.3735 0.6494 0.0000
Re: 0.5000 0.0000 0.2500
Re: 0.8735 0.8506 0.5000
Re: 0.0000 0.5000 0.7500
Re: 0.0000 0.5000 0.2500
Re: 0.1494 0.8735 0.5000
Pr: 0.2362 0.0775 0.0000
Pr: 0.4225 0.2638 0.5000
Pr: 0.9225 0.2362 0.0000
Pr: 0.7362 0.4225 0.5000
Pr: 0.0775 0.7638 0.0000
Pr: 0.7638 0.9225 0.0000
Pr: 0.2638 0.5775 0.5000
Pr: 0.5775 0.7362 0.5000

[11]
CeIr3: relaxed, r²SCAN.

Output
SG: No. 194

abc: 5.3008 5.3008 17.6111
angles: 90.00 90.00 120.00
Atoms (fractional coordinates):
Ir: 0.8324 0.6647 0.8737
Ir: 0.8324 0.6647 0.6263
Ir: 0.1676 0.3353 0.1263
Ir: 0.3353 0.1676 0.8737
Ir: 0.0000 0.0000 0.2500
Ir: 0.8324 0.1676 0.6263
Ir: 0.1676 0.3353 0.3737
Ir: 0.0000 0.0000 0.0000
Ir: 0.0000 0.0000 0.7500
Ir: 0.0000 0.0000 0.5000
Ir: 0.3353 0.1676 0.6263
Ir: 0.6667 0.3333 0.7500
Ir: 0.3333 0.6667 0.2500
Ir: 0.8324 0.1676 0.8737
Ir: 0.6647 0.8324 0.3737
Ir: 0.1676 0.8324 0.1263
Ir: 0.6647 0.8324 0.1263
Ir: 0.1676 0.8324 0.3737
Ce: 0.6667 0.3333 0.0427
Ce: 0.3333 0.6667 0.7500
Ce: 0.6667 0.3333 0.4573
Ce: 0.6667 0.3333 0.2500
Ce: 0.3333 0.6667 0.9573
Ce: 0.3333 0.6667 0.5427

[12]
Y6RuI10: relaxed, r²SCAN.

Output
SG: No. 2

abc: 7.7205 9.6465 9.6769
angles: 107.22 96.76 104.99
Atoms (fractional coordinates):
Ru: 0.0000 0.0000 0.0000
Y: 0.6445 0.8734 0.8303
Y: 0.0322 0.7191 0.9180
Y: 0.9678 0.2809 0.0820
Y: 0.1129 0.0409 0.7632
Y: 0.8871 0.9591 0.2368
Y: 0.3555 0.1266 0.1697
I: 0.5449 0.1862 0.9066
I: 0.9143 0.6287 0.1830
I: 0.0857 0.3713 0.8170
I: 0.4551 0.8138 0.0934
I: 0.7845 0.2608 0.3498
I: 0.3530 0.4535 0.2731
I: 0.2603 0.0871 0.4628
I: 0.7397 0.9129 0.5372
I: 0.2155 0.7392 0.6502
I: 0.6470 0.5465 0.7269

Asked for calculated total energy across the records above, the calculation gives -19.360 -12.928 -9.511 -12.272 -10.133 -22.604 -14.326 -13.707 -19.328 -26.578 -47.663 -24.527 eV/atom in order.
Asked for calculated formation energy across the records above, the calculation gives -0.273 -2.537 -1.929 -3.492 -0.135 -0.336 -1.548 -0.552 -3.947 -0.587 -0.683 -1.416 eV/atom in order.